[1]
First-principles (PBE) data for crystalline Ag2F at its relaxed geometry, as listed in Materials Project. Values from VASP.

```
&SYSTEM
  ibrav = 0, nat = 3, ntyp = 2
/
ATOMIC_SPECIES
Ag 107.87 Ag.upf
F 19.00 F.upf
CELL_PARAMETERS angstrom
3.057 0.000 0.000
-1.529 2.648 0.000
0.000 0.000 5.795
ATOMIC_POSITIONS angstrom
Ag 0.000 1.765 1.781
Ag 1.529 0.883 4.013
F 0.000 0.000 0.000
```

Output
Space group = P-3m1 (164)
Calculated density = 8.310 Mg/m³
DFT formation energy = -2.57 eV per formula unit

=====

[2]
First-principles (PBE) data for crystalline Ag3F at its relaxed geometry, as listed in Materials Project. Values from VASP.

```
&SYSTEM
  ibrav = 0, nat = 8, ntyp = 2
/
ATOMIC_SPECIES
Ag 107.87 Ag.upf
F 19.00 F.upf
CELL_PARAMETERS angstrom
5.809 0.000 0.000
-2.905 5.031 0.000
0.000 0.000 4.576
ATOMIC_POSITIONS angstrom
Ag 0.000 1.684 1.144
Ag -1.447 4.189 1.144
Ag 1.458 0.842 3.432
Ag 1.447 4.189 1.144
Ag 4.351 0.842 3.432
Ag 2.905 3.347 3.432
F 0.000 3.354 3.432
F 2.905 1.677 1.144
```

Output
Space group = P6_3/mmc (194)
Calculated density = 8.506 Mg/m³
DFT formation energy = -1.69 eV per formula unit
Total magnetization = 0.00 μB per atom

=====

[3]
First-principles (PBE) data for crystalline RbGaAgF6 at its relaxed geometry, as listed in Materials Project. Values from VASP.

```
&SYSTEM
  ibrav = 0, nat = 36, ntyp = 4
/
ATOMIC_SPECIES
Rb 85.47 Rb.upf
Ga 69.72 Ga.upf
Ag 107.87 Ag.upf
F 19.00 F.upf
CELL_PARAMETERS angstrom
7.259 0.000 0.000
0.000 7.664 0.000
0.000 0.000 10.601
ATOMIC_POSITIONS angstrom
Rb 0.118 1.916 1.420
Rb 3.511 5.748 6.721
Rb 3.748 1.916 3.880
Rb 7.140 5.748 9.180
Ga 0.000 0.000 5.300
Ga 0.000 3.832 5.300
Ga 3.629 0.000 0.000
Ga 3.629 3.832 0.000
Ag 1.538 1.916 7.968
Ag 2.091 5.748 2.668
Ag 5.167 1.916 7.933
Ag 5.721 5.748 2.632
F 0.291 5.748 1.599
F 0.379 1.916 5.252
F 1.021 3.965 6.921
F 1.021 7.532 6.921
F 1.586 4.098 4.300
F 1.586 7.398 4.300
F 2.043 0.266 9.600
F 2.043 3.566 9.600
F 2.608 0.133 1.621
F 2.608 3.700 1.621
F 3.251 5.748 10.552
F 3.338 1.916 6.900
F 3.920 5.748 3.701
F 4.008 1.916 0.048
F 4.650 3.965 8.980
F 4.650 7.532 8.980
F 5.215 4.098 1.001
F 5.215 7.398 1.001
F 5.673 0.266 6.301
F 5.673 3.566 6.301
F 6.238 0.133 3.679
F 6.238 3.700 3.679
F 6.880 5.748 5.349
F 6.968 1.916 9.001
```

Output
Space group = Pnma (62)
Calculated density = 4.247 Mg/m³
DFT formation energy = -22.43 eV per formula unit
Total magnetization = 0.11 μB per atom

=====

[4]
First-principles (PBE) data for crystalline Ag2H2IOF at its relaxed geometry, as listed in Materials Project. Values from VASP.

```
&SYSTEM
  ibrav = 0, nat = 14, ntyp = 5
/
ATOMIC_SPECIES
Ag 107.87 Ag.upf
H 1.01 H.upf
I 126.90 I.upf
O 16.00 O.upf
F 19.00 F.upf
CELL_PARAMETERS angstrom
4.861 0.000 0.000
0.000 7.907 0.000
-0.135 0.000 6.504
ATOMIC_POSITIONS angstrom
Ag -0.029 0.000 1.808
Ag 0.069 4.255 1.913
Ag 4.656 0.302 4.591
Ag 4.755 3.954 4.696
H 1.287 6.363 6.428
H 2.019 7.847 6.446
H 2.706 3.893 0.058
H 3.439 2.409 0.075
I 1.475 2.086 3.222
I 3.250 6.039 3.281
O 1.132 7.357 6.434
O 3.593 3.404 0.069
F 1.412 4.787 0.016
F 3.314 0.834 6.487
```

Output
Space group = P2_1 (4)
Calculated density = 5.044 Mg/m³
Largest piezoelectric modulus = 0.151 C/m²
DFT formation energy = -6.97 eV per formula unit
Total magnetization = 0.00 μB per atom

=====

[5]
First-principles (PBE) data for crystalline AgH12N4F at its relaxed geometry, as listed in Materials Project. Values from VASP.

```
&SYSTEM
  ibrav = 0, nat = 72, ntyp = 4
/
ATOMIC_SPECIES
Ag 107.87 Ag.upf
H 1.01 H.upf
N 14.01 N.upf
F 19.00 F.upf
CELL_PARAMETERS angstrom
7.077 0.000 0.000
0.000 13.851 0.000
0.000 0.000 6.875
ATOMIC_POSITIONS angstrom
Ag 0.000 0.000 0.000
Ag 0.000 6.925 3.438
Ag 3.538 0.000 0.000
Ag 3.538 6.925 3.438
H 0.187 2.164 2.419
H 0.187 4.761 1.019
H 0.437 2.512 5.957
H 0.437 4.413 4.356
H 0.796 9.468 3.661
H 0.796 11.308 6.652
H 0.896 0.788 2.959
H 0.896 6.138 0.478
H 1.101 8.911 2.110
H 1.101 11.865 1.328
H 1.336 2.248 3.609
H 1.336 4.677 6.704
H 2.202 9.173 6.704
H 2.202 11.603 3.609
H 2.438 1.986 1.328
H 2.438 4.939 2.110
H 2.642 7.713 0.478
H 2.642 13.063 2.959
H 2.743 2.543 6.652
H 2.743 4.383 3.661
H 3.101 9.438 4.356
H 3.101 11.338 5.957
H 3.351 9.089 1.019
H 3.351 11.687 2.419
H 3.726 2.164 4.456
H 3.726 4.761 5.857
H 3.975 2.512 0.919
H 3.975 4.413 2.519
H 4.334 9.468 3.214
H 4.334 11.308 0.224
H 4.435 0.788 3.916
H 4.435 6.138 6.397
H 4.639 8.911 4.765
H 4.639 11.865 5.548
H 4.874 2.248 3.267
H 4.874 4.677 0.171
H 5.741 9.173 0.171
H 5.741 11.603 3.267
H 5.976 1.986 5.548
H 5.976 4.939 4.765
H 6.181 7.713 6.397
H 6.181 13.063 3.916
H 6.281 2.543 0.224
H 6.281 4.383 3.214
H 6.640 9.438 2.519
H 6.640 11.338 0.919
H 6.890 9.089 5.857
H 6.890 11.687 4.456
N 0.393 8.931 2.875
N 0.393 11.845 0.562
N 1.077 1.766 2.734
N 1.077 5.160 0.703
N 2.461 8.691 0.703
N 2.461 12.085 2.734
N 3.145 2.006 0.562
N 3.145 4.920 2.875
N 3.931 8.931 4.000
N 3.931 11.845 6.313
N 4.616 1.766 4.141
N 4.616 5.160 6.172
N 5.999 8.691 6.172
N 5.999 12.085 4.141
N 6.684 2.006 6.313
N 6.684 4.920 4.000
F 1.707 10.388 5.157
F 1.831 3.463 5.157
F 5.246 10.388 1.719
F 5.370 3.463 1.719
```

Output
Space group = Pnna (52)
Calculated density = 1.922 Mg/m³
DFT formation energy = -8.85 eV per formula unit
Total magnetization = 0.00 μB per atom

=====

[6]
First-principles (PBE) data for crystalline AgPH6N2F6 at its relaxed geometry, as listed in Materials Project. Values from VASP.

```
&SYSTEM
  ibrav = 0, nat = 64, ntyp = 5
/
ATOMIC_SPECIES
Ag 107.87 Ag.upf
P 30.97 P.upf
H 1.01 H.upf
N 14.01 N.upf
F 19.00 F.upf
CELL_PARAMETERS angstrom
7.425 0.000 0.000
0.119 8.581 0.000
0.344 0.007 13.282
ATOMIC_POSITIONS angstrom
Ag 0.000 0.000 0.000
Ag 0.322 4.291 6.633
Ag 3.056 8.569 0.002
Ag 3.268 4.263 6.619
P 3.642 7.817 4.292
P 3.703 0.763 8.915
P 7.495 5.053 10.979
P 7.263 3.528 2.283
H 0.921 8.088 2.554
H 0.994 1.711 7.094
H 1.354 0.744 10.857
H 1.387 6.800 6.495
H 2.060 2.557 0.095
H 2.471 6.018 13.187
H 2.278 3.530 4.184
H 2.432 5.063 9.085
H 3.774 2.516 12.452
H 3.525 6.034 0.787
H 3.541 2.488 0.820
H 3.824 4.210 9.252
H 3.932 6.081 12.417
H 3.690 2.731 4.425
H 3.699 4.325 3.965
H 3.864 5.799 8.779
H 6.730 8.405 2.578
H 6.774 1.830 7.225
H 7.367 1.546 11.080
H 7.324 6.807 5.782
H 7.481 8.534 10.620
H 7.281 6.916 2.110
H 7.448 6.856 7.429
H 7.487 1.755 5.735
N 0.401 0.642 11.216
N 0.425 6.453 6.582
N 2.998 2.149 0.024
N 3.416 6.415 13.233
N 3.226 3.634 4.554
N 3.358 4.915 8.676
N 7.467 7.920 2.058
N 7.585 2.134 6.678
F 1.224 6.132 10.481
F 1.003 4.605 1.851
F 1.259 3.996 11.381
F 1.019 2.466 2.748
F 2.379 0.329 4.729
F 2.447 6.780 3.823
F 2.621 8.299 8.519
F 2.563 1.860 9.395
F 3.602 7.172 5.798
F 3.725 0.150 10.441
F 3.661 1.395 7.407
F 3.662 8.454 2.774
F 4.767 6.709 3.842
F 4.711 0.267 4.735
F 4.885 1.830 9.329
F 4.953 8.259 8.457
F 6.330 6.130 10.552
F 6.099 4.581 1.847
F 6.352 3.985 11.440
F 6.121 2.439 2.735
F 7.268 4.156 3.808
F 7.553 5.697 12.478
F 7.470 4.424 9.454
F 7.297 2.887 0.780
```

Output
Space group = P1 (1)
Calculated density = 2.252 Mg/m³
DFT formation energy = -24.71 eV per formula unit
Total magnetization = 0.00 μB per atom

=====

[7]
First-principles (PBE) data for crystalline Hf2Ag3F14 at its relaxed geometry, as listed in Materials Project. Values from VASP.

```
&SYSTEM
  ibrav = 0, nat = 19, ntyp = 3
/
ATOMIC_SPECIES
Hf 178.49 Hf.upf
Ag 107.87 Ag.upf
F 19.00 F.upf
CELL_PARAMETERS angstrom
4.743 -3.402 0.000
4.743 3.402 0.000
-0.196 0.000 9.254
ATOMIC_POSITIONS angstrom
Hf 0.818 0.000 1.984
Hf 8.472 0.000 7.270
Ag 2.840 0.000 5.589
Ag 4.743 0.000 0.000
Ag 6.450 0.000 3.665
F 0.000 0.000 0.000
F 2.999 2.201 5.703
F 0.885 0.000 6.535
F 3.986 1.404 7.757
F 2.560 0.000 1.117
F 6.290 2.201 3.551
F 5.303 1.404 1.497
F 4.645 0.000 4.627
F 3.986 -1.404 7.757
F 2.999 -2.201 5.703
F 6.730 0.000 8.137
F 5.303 -1.404 1.497
F 8.404 0.000 2.719
F 6.290 -2.201 3.551
```

Output
Space group = C2/m (12)
Calculated density = 5.263 Mg/m³
DFT formation energy = -54.21 eV per formula unit

=====

[8]
First-principles (PBE) data for crystalline Hf3AgHg3F20 at its relaxed geometry, as listed in Materials Project. Values from VASP.

```
&SYSTEM
  ibrav = 0, nat = 54, ntyp = 4
/
ATOMIC_SPECIES
Hf 178.49 Hf.upf
Ag 107.87 Ag.upf
Hg 200.59 Hg.upf
F 19.00 F.upf
CELL_PARAMETERS angstrom
10.778 0.000 0.000
-5.389 9.334 0.000
0.000 0.000 8.633
ATOMIC_POSITIONS angstrom
Hf -2.380 6.737 2.158
Hf 0.744 3.904 2.158
Hf 3.753 1.307 6.474
Hf 1.636 8.026 2.158
Hf 4.644 5.430 6.474
Hf 7.769 2.597 6.474
Ag 0.000 0.000 2.158
Ag 0.000 0.000 6.474
Hg -2.207 6.807 6.474
Hg 0.598 4.018 6.474
Hg 3.779 1.492 2.158
Hg 1.610 7.842 6.474
Hg 4.791 5.315 2.158
Hg 7.596 2.527 2.158
F 0.000 0.000 0.000
F 0.000 0.000 4.316
F -0.936 2.176 6.474
F -1.945 4.364 6.474
F -0.870 2.639 2.158
F -2.316 6.721 0.173
F -2.316 6.721 4.143
F -0.972 5.145 2.158
F -3.036 9.057 6.474
F -2.668 8.768 2.158
F 1.416 1.899 2.158
F 0.726 3.967 0.173
F 0.726 3.967 4.143
F 1.850 2.073 6.474
F 0.000 6.222 6.474
F -0.447 7.602 2.158
F -0.637 8.836 6.474
F 3.799 1.355 4.489
F 3.799 1.355 8.460
F 1.419 5.919 2.158
F 2.807 3.866 2.158
F 2.582 5.467 6.474
F 3.970 3.414 6.474
F 1.590 7.979 0.173
F 1.590 7.979 4.143
F 6.026 0.498 2.158
F 5.836 1.731 6.474
F 5.389 3.111 2.158
F 3.538 7.261 2.158
F 4.663 5.366 4.489
F 4.663 5.366 8.460
F 3.973 7.435 6.474
F 8.057 0.566 6.474
F 8.425 0.277 2.158
F 6.360 4.188 6.474
F 7.705 2.613 4.489
F 7.705 2.613 8.460
F 6.259 6.695 6.474
F 7.334 4.970 2.158
F 6.325 7.158 2.158
```

Output
Space group = P6_3/m (176)
Calculated density = 6.215 Mg/m³
DFT formation energy = -82.18 eV per formula unit
Total magnetization = 0.00 μB per atom

=====

[9]
First-principles (PBE) data for crystalline K3Hf4Ag2F23 at its relaxed geometry, as listed in Materials Project. Values from VASP.

```
&SYSTEM
  ibrav = 0, nat = 64, ntyp = 4
/
ATOMIC_SPECIES
K 39.10 K.upf
Hf 178.49 Hf.upf
Ag 107.87 Ag.upf
F 19.00 F.upf
CELL_PARAMETERS angstrom
7.956 0.000 0.000
0.000 11.426 0.000
-1.320 0.000 10.231
ATOMIC_POSITIONS angstrom
K 0.000 0.000 0.000
K -0.660 5.713 5.115
K 1.821 0.231 3.719
K 1.161 5.482 8.834
K 5.476 5.944 1.396
K 4.816 11.195 6.512
Hf 1.122 7.928 1.657
Hf 0.462 9.212 6.772
Hf 3.161 7.786 4.685
Hf 2.502 9.354 9.801
Hf 4.135 2.073 0.430
Hf 3.475 3.641 5.546
Hf 6.174 2.215 3.459
Hf 5.514 3.498 8.574
Ag 0.538 1.845 7.026
Ag 1.198 3.868 1.910
Ag 5.439 7.558 8.321
Ag 6.098 9.582 3.205
F -0.653 2.467 5.116
F 0.007 3.246 0.000
F -0.173 1.600 2.430
F -0.833 4.113 7.546
F -0.720 7.388 7.240
F -0.060 9.751 2.125
F 0.987 6.022 0.949
F 0.327 11.118 6.064
F 1.363 7.404 5.741
F 2.023 9.736 0.626
F 2.069 6.695 3.170
F 1.409 10.444 8.285
F 1.484 8.123 8.341
F 2.144 9.017 3.226
F 2.581 1.538 1.550
F 1.921 4.175 6.666
F 1.680 2.104 8.994
F 2.340 3.610 3.879
F 2.294 1.828 5.876
F 2.954 3.885 0.760
F 3.005 7.586 0.703
F 2.345 9.554 5.818
F 3.978 0.000 0.000
F 3.318 5.713 5.115
F 4.291 1.873 4.412
F 3.631 3.840 9.528
F 3.683 7.541 9.471
F 4.343 9.598 4.355
F 4.297 7.817 6.352
F 4.957 9.323 1.237
F 4.716 7.251 3.565
F 4.056 9.888 8.680
F 4.493 2.410 7.005
F 5.152 3.303 1.890
F 5.227 0.982 1.946
F 4.567 4.731 7.061
F 4.614 1.690 9.605
F 5.274 4.023 4.490
F 6.310 0.309 4.167
F 5.650 5.405 9.282
F 6.697 1.675 8.106
F 7.356 4.038 2.991
F 7.470 7.313 2.685
F 6.810 9.826 7.801
F 6.630 8.180 10.231
F 7.289 8.960 5.115
```

Output
Space group = P2_1/c (14)
Calculated density = 5.299 Mg/m³
DFT formation energy = -111.13 eV per formula unit
Total magnetization = 0.06 μB per atom

=====

[10]
First-principles (PBE) data for crystalline Ag2IOF at its relaxed geometry, as listed in Materials Project. Values from VASP.

```
&SYSTEM
  ibrav = 0, nat = 10, ntyp = 4
/
ATOMIC_SPECIES
Ag 107.87 Ag.upf
I 126.90 I.upf
O 16.00 O.upf
F 19.00 F.upf
CELL_PARAMETERS angstrom
4.639 0.000 0.000
0.000 7.910 0.000
-0.235 0.000 6.157
ATOMIC_POSITIONS angstrom
Ag 0.007 0.000 1.636
Ag 0.056 3.455 1.634
Ag 4.349 7.410 4.523
Ag 4.397 3.955 4.521
I 1.336 5.721 3.010
I 3.069 1.766 3.147
O 0.974 3.083 6.043
O 3.430 7.038 0.114
F 1.131 0.512 6.107
F 3.273 4.467 0.050
```

Output
Space group = P2_1 (4)
Calculated density = 5.551 Mg/m³
DFT formation energy = -1.07 eV per formula unit
Total magnetization = 0.17 μB per atom

=====

[11]
First-principles (PBE) data for crystalline InAg3F6 at its relaxed geometry, as listed in Materials Project. Values from VASP.

```
&SYSTEM
  ibrav = 0, nat = 20, ntyp = 3
/
ATOMIC_SPECIES
In 114.82 In.upf
Ag 107.87 Ag.upf
F 19.00 F.upf
CELL_PARAMETERS angstrom
6.053 0.000 0.000
0.000 6.144 0.000
-5.956 0.000 8.681
ATOMIC_POSITIONS angstrom
In 0.000 0.000 0.000
In -2.978 3.072 4.340
Ag -2.863 0.356 6.561
Ag 0.115 2.715 2.221
Ag 0.048 0.000 4.340
Ag 3.027 3.072 0.000
Ag -0.018 3.428 6.460
Ag 2.960 5.787 2.119
F -0.738 0.415 1.952
F -3.716 2.656 6.293
F 0.969 4.389 0.673
F -2.009 4.827 5.013
F 1.761 1.058 0.500
F -1.217 2.014 4.840
F 1.314 4.130 3.841
F -1.664 5.085 8.181
F 2.106 1.317 3.668
F -0.872 1.755 8.008
F 3.813 3.487 2.388
F 0.835 5.728 6.728
```

Output
ΔE to the lowest computed polymorph = 0 meV/atom
Space group = P2_1/c (14)
Calculated density = 5.683 Mg/m³
DFT formation energy = -18.64 eV per formula unit
Total magnetization = 0.00 μB per atom

=====

Corrected total energy (MP2020 scheme) (eV per atom)
-3.3821, -3.0258, -4.5289, -3.9728, -4.8697, -5.0918, -5.7593, -5.7071, -6.3746, -3.0244, -4.1375